[1]
Below is a relaxed structure of TiB12, with properties calculated at the PBE-GGA level.

abc: 5.199 5.199 5.199
angles: 60.00 60.00 60.00
Atoms (fractional coordinates):
Ti 0.000 0.000 0.000
B 0.161 0.500 0.500
B 0.161 0.500 0.839
B 0.161 0.839 0.500
B 0.500 0.161 0.500
B 0.500 0.161 0.839
B 0.500 0.500 0.161
B 0.500 0.500 0.839
B 0.500 0.839 0.161
B 0.500 0.839 0.500
B 0.839 0.161 0.500
B 0.839 0.500 0.161
B 0.839 0.500 0.500

Computed properties:
The calculated formation energy is -0.094 eV/atom. The calculated total energy is -6.87 eV per atom. The space group is Fm-3m.

***

[2]
Below is a relaxed structure of TiB2, with properties calculated at the PBE-GGA level.

abc: 3.035 3.035 3.223
angles: 90.00 90.00 120.00
Atoms (fractional coordinates):
Ti 0.000 0.000 0.000
B 0.333 0.667 0.500
B 0.667 0.333 0.500

Computed properties:
The calculated formation energy is -1.056 eV/atom. The calculated total energy is -8.14 eV per atom. The space group is P6/mmm.

***

[3]
Below is a relaxed structure of TiVB4, with properties calculated at the PBE-GGA level.

abc: 3.014 3.014 6.247
angles: 90.00 90.00 120.00
Atoms (fractional coordinates):
Ti 0.000 0.000 0.000
V 0.000 0.000 0.500
B 0.333 0.667 0.256
B 0.333 0.667 0.744
B 0.667 0.333 0.256
B 0.667 0.333 0.744

Computed properties:
The calculated formation energy is -0.896 eV/atom. The calculated total energy is -8.18 eV per atom. The space group is P6/mmm.

***

[4]
Below is a relaxed structure of Tl3B, with properties calculated at the PBE-GGA level.

abc: 4.642 4.642 4.642
angles: 90.00 90.00 90.00
Atoms (fractional coordinates):
Tl 0.000 0.000 0.500
Tl 0.000 0.500 0.000
Tl 0.500 0.000 0.000
B 0.500 0.500 0.500

Computed properties:
The calculated formation energy is 1.001 eV/atom. The calculated total energy is -2.44 eV per atom. The space group is Pm-3m.

***

[5]
Below is a relaxed structure of Tl3B, with properties calculated at the PBE-GGA level.

abc: 5.277 5.277 5.277
angles: 60.00 60.00 60.00
Atoms (fractional coordinates):
Tl 0.000 0.000 0.000
Tl 0.250 0.250 0.250
Tl 0.750 0.750 0.750
B 0.500 0.500 0.500

Computed properties:
The calculated formation energy is 0.982 eV/atom. The calculated total energy is -2.46 eV per atom. The space group is Fm-3m.

***

[6]
Below is a relaxed structure of TmB12, with properties calculated at the PBE-GGA level.

abc: 5.282 5.282 5.282
angles: 60.00 60.00 60.00
Atoms (fractional coordinates):
Tm 0.000 0.000 0.000
B 0.162 0.500 0.500
B 0.162 0.500 0.838
B 0.162 0.838 0.500
B 0.500 0.162 0.500
B 0.500 0.162 0.838
B 0.500 0.500 0.162
B 0.500 0.500 0.838
B 0.500 0.838 0.162
B 0.500 0.838 0.500
B 0.838 0.162 0.500
B 0.838 0.500 0.162
B 0.838 0.500 0.500

Computed properties:
The calculated formation energy is -0.252 eV/atom. The calculated total energy is -6.76 eV per atom. The space group is Fm-3m.

***

[7]
Below is a relaxed structure of Tm3B7W, with properties calculated at the PBE-GGA level.

abc: 8.086 8.086 9.402
angles: 90.00 90.00 155.50
Atoms (fractional coordinates):
Tm 0.107 0.893 0.560
Tm 0.107 0.893 0.940
Tm 0.244 0.756 0.250
Tm 0.756 0.244 0.750
Tm 0.893 0.107 0.060
Tm 0.893 0.107 0.440
B 0.272 0.728 0.533
B 0.272 0.728 0.967
B 0.365 0.635 0.646
B 0.365 0.635 0.854
B 0.453 0.547 0.250
B 0.481 0.519 0.591
B 0.481 0.519 0.909
B 0.519 0.481 0.091
B 0.519 0.481 0.409
B 0.547 0.453 0.750
B 0.635 0.365 0.146
B 0.635 0.365 0.354
B 0.728 0.272 0.033
B 0.728 0.272 0.467
W 0.053 0.947 0.250
W 0.947 0.053 0.750

Computed properties:
The calculated formation energy is -0.641 eV/atom. The calculated total energy is -7.29 eV per atom. The space group is Cmcm.

***

[8]
Below is a relaxed structure of UB2, with properties calculated at the PBE-GGA level.

abc: 3.082 3.082 4.019
angles: 90.00 90.00 120.00
Atoms (fractional coordinates):
U 0.000 0.000 0.000
B 0.333 0.667 0.500
B 0.667 0.333 0.500

Computed properties:
The calculated formation energy is -0.584 eV/atom. The calculated total energy is -8.80 eV per atom. The space group is P6/mmm.